Record 1
A plane-wave DFT calculation with PBE was carried out for crystalline Eu2Al42O65 at its relaxed geometry.

Unit cell a=5.6899 b=11.4410 c=19.8026 alpha=80.86 beta=89.62 gamma=75.87
Fractional coordinates of all 109 atoms:
Eu  0.0000  0.0000  0.0000
Eu  0.4941  0.9789  0.2627
Al  0.0004  0.4783  0.2594
Al  0.9997  0.4802  0.7584
Al  0.0264  0.4295  0.5962
Al  0.0317  0.4153  0.0976
Al  0.1078  0.2639  0.8595
Al  0.1138  0.2614  0.3624
Al  0.1301  0.7091  0.5302
Al  0.1339  0.7079  0.2860
Al  0.1400  0.6887  0.0307
Al  0.1413  0.6990  0.7811
Al  0.1805  0.1197  0.6229
Al  0.3222  0.8374  0.6462
Al  0.3404  0.7939  0.1451
Al  0.3533  0.2483  0.9873
Al  0.3577  0.2619  0.4882
Al  0.3589  0.2626  0.2328
Al  0.3597  0.2590  0.7339
Al  0.3770  0.7310  0.4049
Al  0.3897  0.6993  0.9052
Al  0.4751  0.5324  0.6699
Al  0.4780  0.5230  0.1737
Al  0.4984  0.4861  0.5074
Al  0.5004  0.4728  0.0103
Al  0.5258  0.4273  0.8464
Al  0.5267  0.4319  0.3461
Al  0.6120  0.2574  0.6110
Al  0.6240  0.2267  0.1156
Al  0.6385  0.6997  0.7812
Al  0.6421  0.7088  0.5311
Al  0.6442  0.6948  0.2866
Al  0.6448  0.6960  0.0297
Al  0.6689  0.1318  0.8681
Al  0.6738  0.1485  0.3778
Al  0.8238  0.8317  0.8940
Al  0.8598  0.2711  0.9848
Al  0.8618  0.2584  0.7339
Al  0.8656  0.2622  0.4884
Al  0.8698  0.2465  0.2339
Al  0.8895  0.6971  0.1564
Al  0.8899  0.7016  0.6556
Al  0.9724  0.5332  0.9207
Al  0.9732  0.5409  0.4221
O  0.0522  0.3764  0.6890
O  0.0568  0.3694  0.9352
O  0.0577  0.3765  0.1906
O  0.0601  0.3668  0.4343
O  0.0814  0.7916  0.1015
O  0.1018  0.7806  0.6096
O  0.1037  0.7719  0.8588
O  0.1086  0.7866  0.3543
O  0.1394  0.1661  0.0225
O  0.1439  0.1892  0.7837
O  0.1516  0.1788  0.5345
O  0.1571  0.1811  0.2863
O  0.1827  0.5908  0.2070
O  0.1891  0.5816  0.7123
O  0.2147  0.5795  0.9639
O  0.2161  0.5831  0.4605
O  0.2862  0.3785  0.8066
O  0.2903  0.3747  0.3069
O  0.3163  0.3765  0.5560
O  0.3212  0.3659  0.0584
O  0.3449  0.7964  0.2306
O  0.3482  0.7744  0.9845
O  0.3503  0.7812  0.7352
O  0.3547  0.7777  0.4862
O  0.3930  0.1865  0.9069
O  0.3950  0.1768  0.4127
O  0.4016  0.1780  0.6594
O  0.4260  0.1612  0.1711
O  0.4443  0.5929  0.3225
O  0.4438  0.5933  0.8340
O  0.4447  0.5842  0.0812
O  0.4522  0.5823  0.5783
O  0.5545  0.3748  0.4371
O  0.5559  0.3782  0.9399
O  0.5584  0.3626  0.1918
O  0.5588  0.3643  0.6835
O  0.5722  0.7976  0.3468
O  0.5993  0.7768  0.8582
O  0.6008  0.7801  0.6102
O  0.6085  0.7839  0.1038
O  0.6467  0.1825  0.7804
O  0.6466  0.1888  0.5334
O  0.6534  0.1767  0.0314
O  0.6585  0.1611  0.2895
O  0.6806  0.5861  0.4573
O  0.6816  0.5843  0.9631
O  0.7108  0.5809  0.7128
O  0.7119  0.5851  0.2083
O  0.7819  0.9816  0.9022
O  0.7891  0.3758  0.0554
O  0.7896  0.3778  0.5551
O  0.8158  0.3770  0.8074
O  0.8196  0.3708  0.3075
O  0.8465  0.7760  0.2316
O  0.8506  0.7814  0.4881
O  0.8565  0.7694  0.7341
O  0.8573  0.7746  0.9852
O  0.8934  0.1867  0.9087
O  0.8980  0.1743  0.1624
O  0.8999  0.1787  0.6590
O  0.9193  0.1764  0.4139
O  0.9444  0.5930  0.5866
O  0.9462  0.5827  0.3267
O  0.9460  0.5905  0.0842
O  0.9483  0.5809  0.8292

Properties
calculated total energy = -7.461 eV/atom
ΔH_f (0 K) = -3289.0 meV per atom
size of the total moment = 0.0096 μB per atom
SG = No. 1
MP2020-corrected energy = -858.0 eV per formula unit



Record 2
A plane-wave DFT calculation with PBE was carried out for crystalline LiCuF4 at its relaxed geometry.

Unit cell a=7.6937 b=7.6937 c=5.1285 alpha=90.00 beta=90.00 gamma=151.67
Fractional coordinates of all 12 atoms:
Li  0.1890  0.8110  0.5000
Li  0.8110  0.1890  0.0000
Cu  0.4093  0.5907  0.4903
Cu  0.5907  0.4093  0.9903
F  0.0928  0.9072  0.9919
F  0.3016  0.6984  0.6902
F  0.3420  0.6580  0.1795
F  0.4774  0.5226  0.8041
F  0.5226  0.4774  0.3041
F  0.6580  0.3420  0.6795
F  0.6984  0.3016  0.1902
F  0.9072  0.0928  0.4919

Properties
calculated total energy = -4.104 eV/atom
ΔH_f (0 K) = -2133.9 meV per atom
size of the total moment = 0.0001 μB per atom
SG = No. 36
MP2020-corrected energy = -26.5 eV per formula unit



Record 3
A plane-wave DFT calculation with PBE was carried out for crystalline ZnP2H7NO8 at its relaxed geometry.

Unit cell a=7.7521 b=13.3584 c=9.4736 alpha=90.00 beta=124.14 gamma=90.00
Fractional coordinates of all 76 atoms:
Zn  0.1516  0.0085  0.2574
Zn  0.1516  0.4915  0.7574
Zn  0.8484  0.5085  0.2426
Zn  0.8484  0.9915  0.7426
P  0.1305  0.1619  0.9895
P  0.1305  0.3381  0.4895
P  0.3898  0.0340  0.6524
P  0.3898  0.4660  0.1524
P  0.6102  0.5340  0.8476
P  0.6102  0.9660  0.3476
P  0.8695  0.6619  0.5105
P  0.8695  0.8381  0.0105
H  0.0884  0.1721  0.4519
H  0.0884  0.3279  0.9519
H  0.1713  0.7067  0.4140
H  0.1713  0.7933  0.9140
H  0.2470  0.0869  0.7955
H  0.2470  0.4131  0.2955
H  0.3107  0.6938  0.0365
H  0.3107  0.8062  0.5365
H  0.3447  0.7348  0.8867
H  0.3447  0.7652  0.3867
H  0.4301  0.6943  0.5607
H  0.4301  0.8057  0.0607
H  0.4902  0.1232  0.2072
H  0.4902  0.3768  0.7072
H  0.5098  0.6232  0.2928
H  0.5098  0.8768  0.7928
H  0.5699  0.1943  0.9393
H  0.5699  0.3057  0.4393
H  0.6553  0.2348  0.6133
H  0.6553  0.2652  0.1133
H  0.6893  0.1938  0.4635
H  0.6893  0.3062  0.9635
H  0.7530  0.5869  0.7045
H  0.7530  0.9131  0.2045
H  0.8287  0.2067  0.0860
H  0.8287  0.2933  0.5860
H  0.9116  0.6721  0.0481
H  0.9116  0.8279  0.5481
N  0.3135  0.7428  0.4741
N  0.3135  0.7572  0.9741
N  0.6865  0.2428  0.0259
N  0.6865  0.2572  0.5259
O  0.0057  0.2364  0.4129
O  0.0057  0.2636  0.9129
O  0.0506  0.1175  0.0930
O  0.0506  0.3825  0.5930
O  0.0714  0.0939  0.8349
O  0.0714  0.4061  0.3349
O  0.2042  0.0647  0.4730
O  0.2042  0.4353  0.9730
O  0.3657  0.1835  0.0959
O  0.3657  0.3165  0.5959
O  0.3745  0.0932  0.7903
O  0.3745  0.4068  0.2903
O  0.3751  0.5805  0.1735
O  0.3751  0.9195  0.6735
O  0.3989  0.5658  0.8109
O  0.3989  0.9342  0.3109
O  0.6011  0.0658  0.6891
O  0.6011  0.4342  0.1891
O  0.6249  0.0805  0.3265
O  0.6249  0.4195  0.8265
O  0.6255  0.5932  0.7097
O  0.6255  0.9068  0.2097
O  0.6343  0.6835  0.4041
O  0.6343  0.8165  0.9041
O  0.7958  0.5647  0.0270
O  0.7958  0.9353  0.5270
O  0.9286  0.5939  0.6651
O  0.9286  0.9061  0.1651
O  0.9494  0.6175  0.4070
O  0.9494  0.8825  0.9070
O  0.9943  0.7364  0.0871
O  0.9943  0.7636  0.5871

Properties
calculated total energy = -5.843 eV/atom
ΔH_f (0 K) = -1724.1 meV per atom
size of the total moment = 0.0000 μB per atom
SG = No. 14
MP2020-corrected energy = -116.5 eV per formula unit



Record 4
A plane-wave DFT calculation with PBE was carried out for crystalline Gd3Sc2Ga3O12 at its relaxed geometry.

Unit cell a=11.0469 b=11.0469 c=11.0469 alpha=109.47 beta=109.47 gamma=109.47
Fractional coordinates of all 80 atoms:
Gd  0.1250  0.7500  0.8750
Gd  0.1250  0.8750  0.2500
Gd  0.2500  0.1250  0.8750
Gd  0.2500  0.6250  0.3750
Gd  0.3750  0.2500  0.6250
Gd  0.3750  0.6250  0.7500
Gd  0.6250  0.3750  0.2500
Gd  0.6250  0.7500  0.3750
Gd  0.7500  0.3750  0.6250
Gd  0.7500  0.8750  0.1250
Gd  0.8750  0.1250  0.7500
Gd  0.8750  0.2500  0.1250
Sc  0.0000  0.0000  0.0000
Sc  0.0000  0.0000  0.5000
Sc  0.0000  0.5000  0.0000
Sc  0.0000  0.5000  0.5000
Sc  0.5000  0.0000  0.0000
Sc  0.5000  0.0000  0.5000
Sc  0.5000  0.5000  0.0000
Sc  0.5000  0.5000  0.5000
Ga  0.1250  0.2500  0.3750
Ga  0.1250  0.3750  0.7500
Ga  0.2500  0.3750  0.1250
Ga  0.2500  0.8750  0.6250
Ga  0.3750  0.1250  0.2500
Ga  0.3750  0.7500  0.1250
Ga  0.6250  0.2500  0.8750
Ga  0.6250  0.8750  0.7500
Ga  0.7500  0.1250  0.3750
Ga  0.7500  0.6250  0.8750
Ga  0.8750  0.6250  0.2500
Ga  0.8750  0.7500  0.6250
O  0.0582  0.2277  0.1160
O  0.0582  0.3304  0.9422
O  0.0578  0.6160  0.3883
O  0.0578  0.9418  0.6696
O  0.1117  0.7277  0.6696
O  0.1117  0.8840  0.4422
O  0.1160  0.0582  0.2277
O  0.1160  0.5578  0.8883
O  0.1696  0.2277  0.6117
O  0.1696  0.4418  0.5578
O  0.2277  0.1160  0.0582
O  0.2277  0.6117  0.1696
O  0.2723  0.3304  0.8883
O  0.2723  0.4418  0.3840
O  0.3304  0.8883  0.2723
O  0.3304  0.9422  0.0582
O  0.3840  0.2723  0.4418
O  0.3840  0.6117  0.9422
O  0.3883  0.0578  0.6160
O  0.3883  0.8304  0.7723
O  0.4422  0.1117  0.8840
O  0.4418  0.3840  0.2723
O  0.4418  0.5578  0.1696
O  0.4422  0.8304  0.5582
O  0.5578  0.1696  0.4418
O  0.5582  0.4422  0.8304
O  0.5582  0.6160  0.7277
O  0.5578  0.8883  0.1160
O  0.6117  0.1696  0.2277
O  0.6117  0.9422  0.3840
O  0.6160  0.3883  0.0578
O  0.6160  0.7277  0.5582
O  0.6696  0.0578  0.9418
O  0.6696  0.1117  0.7277
O  0.7277  0.5582  0.6160
O  0.7277  0.6696  0.1117
O  0.7723  0.3883  0.8304
O  0.7723  0.8840  0.9418
O  0.8304  0.5582  0.4422
O  0.8304  0.7723  0.3883
O  0.8840  0.4422  0.1117
O  0.8840  0.9418  0.7723
O  0.8883  0.1160  0.5578
O  0.8883  0.2723  0.3304
O  0.9422  0.0582  0.3304
O  0.9422  0.3840  0.6117
O  0.9418  0.6696  0.0578
O  0.9418  0.7723  0.8840

Properties
calculated total energy = -8.402 eV/atom
ΔH_f (0 K) = -2646.6 meV per atom
size of the total moment = 1.0500 μB per atom
SG = No. 230
MP2020-corrected energy = -176.3 eV per formula unit



Record 5
A plane-wave DFT calculation with PBE was carried out for crystalline TiMn2W at its relaxed geometry.

Unit cell a=4.2173 b=4.2173 c=4.2173 alpha=60.00 beta=60.00 gamma=60.00
Fractional coordinates of all 4 atoms:
Ti  0.0000  0.0000  0.0000
Mn  0.2500  0.2500  0.2500
Mn  0.7500  0.7500  0.7500
W  0.5000  0.5000  0.5000

Properties
calculated total energy = -10.036 eV/atom
ΔH_f (0 K) = -241.9 meV per atom
SG = No. 225



Record 6
A plane-wave DFT calculation with PBE was carried out for crystalline Ba6Mg11F34 at its relaxed geometry.

Unit cell a=7.6314 b=10.0584 c=10.1917 alpha=81.71 beta=72.48 gamma=71.87
Fractional coordinates of all 51 atoms:
Ba  0.1371  0.4065  0.2685
Ba  0.1682  0.1576  0.9686
Ba  0.2840  0.8630  0.6571
Ba  0.7160  0.1370  0.3429
Ba  0.8318  0.8424  0.0314
Ba  0.8629  0.5935  0.7315
Mg  0.1960  0.7482  0.3009
Mg  0.2324  0.2437  0.6077
Mg  0.3112  0.4951  0.8149
Mg  0.3187  0.0131  0.2912
Mg  0.3937  0.7506  0.9903
Mg  0.5000  0.5000  0.5000
Mg  0.6063  0.2494  0.0097
Mg  0.6813  0.9869  0.7088
Mg  0.6888  0.5049  0.1851
Mg  0.7676  0.7563  0.3923
Mg  0.8040  0.2518  0.6991
F  0.0204  0.6389  0.4267
F  0.0567  0.6165  0.9013
F  0.0580  0.1316  0.7280
F  0.0820  0.1403  0.2542
F  0.1733  0.8879  0.9336
F  0.1806  0.3640  0.7653
F  0.1980  0.8801  0.4235
F  0.2348  0.6480  0.1353
F  0.2615  0.6019  0.6339
F  0.3022  0.1289  0.4416
F  0.3422  0.8733  0.1520
F  0.3583  0.3628  0.9728
F  0.3861  0.3536  0.4761
F  0.4241  0.0960  0.6857
F  0.4376  0.6058  0.3264
F  0.4427  0.6366  0.8312
F  0.4471  0.1301  0.1382
F  0.5529  0.8699  0.8618
F  0.5573  0.3634  0.1688
F  0.5624  0.3942  0.6736
F  0.5759  0.9040  0.3143
F  0.6139  0.6464  0.5239
F  0.6417  0.6372  0.0272
F  0.6578  0.1267  0.8480
F  0.6978  0.8711  0.5584
F  0.7385  0.3981  0.3661
F  0.7652  0.3520  0.8647
F  0.8020  0.1199  0.5765
F  0.8194  0.6360  0.2347
F  0.8267  0.1121  0.0664
F  0.9180  0.8597  0.7458
F  0.9420  0.8684  0.2720
F  0.9433  0.3835  0.0987
F  0.9796  0.3611  0.5733

Properties
calculated total energy = -5.482 eV/atom
ΔH_f (0 K) = -3943.2 meV per atom
size of the total moment = 0.0001 μB per atom
SG = No. 2
MP2020-corrected energy = -295.3 eV per formula unit